Record 1
Na6Sc2Nb2Si5SO24: relaxed, GGA-PBE.

Lattice parameters (Å, degrees): 9.1416 9.1274 22.6883 89.75 90.31 120.08
With the nearest neighbours (Å) after each atom.
Fractional coordinates of all 120 atoms:
Nb  0.9924  0.9920  0.1507  5 O 1.92-2.03
Nb  0.9948  0.9920  0.6467  6 O 1.93-2.09
Nb  0.3349  0.6529  0.8073  5 O 1.93-2.04
Nb  0.3453  0.6716  0.3132  5 O 1.93-2.08
Nb  0.6544  0.3200  0.4810  5 O 1.89-2.06
Nb  0.6660  0.3353  0.6871  6 O 1.94-2.04
O  0.6430  0.1498  0.4228  1 Si 1.66
O  0.8214  0.0424  0.8087  1 Si 1.62
O  0.6971  0.5334  0.5230  1 Si 1.65
O  0.6703  0.5148  0.2422  1 Si 1.61
O  0.1804  0.9743  0.9110  1 S 1.49
O  0.4723  0.3504  0.1363  1 S 1.47
O  0.1581  0.4644  0.9752  1 Si 1.62
O  0.5002  0.1433  0.6402  1 Si 1.64
O  0.8160  0.8301  0.9127  1 Si 1.63
O  0.5125  0.8387  0.0809  1 Si 1.63
O  0.0246  0.8353  0.6954  1 Si 1.67
O  0.1762  0.4818  0.2574  1 Si 1.66
O  0.5159  0.8300  0.7573  1 Si 1.65
O  0.3010  0.8233  0.2568  1 Si 1.67
O  0.9793  0.8230  0.0918  1 Si 1.68
O  0.3595  0.5005  0.3602  1 Si 1.73
O  0.0181  0.8114  0.4116  1 S 1.47
O  0.8252  0.3024  0.5282  1 Si 1.67
O  0.4646  0.1684  0.5264  1 Si 1.70, 1 Nb 1.89
O  0.6898  0.1692  0.7404  1 Si 1.64
O  0.6485  0.4993  0.6376  1 Si 1.64
O  0.9614  0.1666  0.3041  1 Si 1.59
O  0.5039  0.8638  0.3592  1 Si 1.72
O  0.4498  0.3076  0.0296  1 S 1.48
O  0.8560  0.3587  0.9177  1 Si 1.65
O  0.3074  0.8536  0.9692  1 S 1.48
O  0.4786  0.1608  0.2432  1 Si 1.62
O  0.2143  0.1818  0.8114  1 Si 1.60
O  0.5221  0.6998  0.2568  1 Si 1.68
O  0.1240  0.6444  0.3614  1 S 1.51
O  0.8618  0.3527  0.6427  1 Si 1.64
O  0.7974  0.8328  0.1946  1 Si 1.69
O  0.1652  0.1953  0.6934  1 Si 1.65
O  0.5037  0.6423  0.5807  1 Si 1.62
O  0.8067  0.9658  0.4128  1 Si 1.61
O  0.9703  0.7842  0.8120  1 Si 1.60
O  0.3649  0.8625  0.5806  1 Si 1.60
O  0.4983  0.6478  0.8611  1 Si 1.70
O  0.3525  0.4822  0.0792  1 S 1.50
O  0.1923  0.0392  0.5909  1 Si 1.64
O  0.7011  0.1546  0.0251  1 Si 1.65
O  0.8406  0.5167  0.7417  1 Si 1.65
O  0.4821  0.3148  0.7413  1 Si 1.63
O  0.1479  0.6417  0.0792  1 Si 1.63
O  0.5349  0.8468  0.4768  1 Si 1.61
O  0.1418  0.4971  0.8587  1 Si 1.68
O  0.9643  0.1562  0.5899  1 Si 1.67
O  0.3149  0.4629  0.4779  1 Si 1.61
O  0.2025  0.0340  0.3065  1 Si 1.59
O  0.8240  0.7848  0.3103  1 Si 1.59
O  0.8709  0.5076  0.4191  1 S 1.50
O  0.1682  0.6834  0.7563  1 Si 1.66
O  0.6443  0.1218  0.1432  1 Si 1.62
O  0.1447  0.6826  0.4686  1 S 1.46
O  0.1747  0.1832  0.4138  1 Si 1.60
O  0.1457  0.4936  0.5810  1 Si 1.61
O  0.8460  0.5572  0.0251  1 Si 1.66
O  0.0278  0.1872  0.9129  1 Si 1.64
O  0.3588  0.8768  0.8631  1 S 1.48
O  0.6273  0.4861  0.9186  1 Si 1.64
O  0.4859  0.1277  0.9216  1 S 1.49
O  0.1619  0.9657  0.1938  1 Si 1.69
O  0.8476  0.0273  0.0905  1 Si 1.72
O  0.0387  0.2082  0.1909  1 Si 1.68
O  0.1967  0.1782  0.0877  1 S 1.49
O  0.7980  0.9711  0.6923  1 Si 1.66
O  0.3030  0.4725  0.7550  1 Si 1.70
O  0.8757  0.5192  0.1426  1 Si 1.63
O  0.5434  0.6989  0.9764  1 Si 1.63
O  0.8409  0.3230  0.2443  1 Si 1.62
O  0.8396  0.8129  0.5892  1 Si 1.65
O  0.5194  0.3750  0.4210  1 Si 1.69
Sc  0.3353  0.6639  0.5216  6 O 2.01-2.19
Sc  0.9921  0.9991  0.8483  5 O 2.00-2.16
Sc  0.3355  0.6716  0.0185  5 O 2.02-2.12
Sc  0.0054  0.0139  0.3531  5 O 1.97-2.14
Sc  0.6885  0.3458  0.9818  4 O 1.99-2.17
Sc  0.6741  0.3285  0.1847  6 O 2.00-2.23
Na  0.6669  0.6999  0.0765  4 O 2.32-2.55
Na  0.7134  0.0362  0.9184  6 O 2.49-2.68
Na  0.6640  0.3414  0.8312  6 O 2.50-2.73
Na  0.6994  0.6745  0.4168  3 O 2.33-2.53
Na  0.3293  0.6875  0.1614  3 O 2.38-2.58
Na  0.9557  0.6640  0.9126  5 O 2.42-2.60
Na  0.0088  0.0123  0.4946  4 O 2.39-2.67
Na  0.9921  0.9962  0.9970  6 O 2.47-2.71
Na  0.3666  0.3531  0.2522  3 O 2.42-2.54
Na  0.6425  0.0150  0.2480  5 O 2.45-2.72
Na  0.3294  0.3049  0.9131  5 O 2.38-2.65
Na  0.9910  0.6285  0.2484  5 O 2.41-2.64
Na  0.3303  0.6764  0.6608  4 O 2.40-2.65
Na  0.0209  0.3366  0.0805  5 O 2.42-2.68
Na  0.9928  0.3571  0.7495  5 O 2.43-2.69
Na  0.6612  0.9594  0.5804  5 O 2.39-2.59
Na  0.2976  0.3424  0.5807  5 O 2.40-2.65
Na  0.6617  0.3207  0.3324  6 O 2.53-2.68
S  0.0422  0.6639  0.4163  4 O 1.46-1.51
S  0.3330  0.9565  0.9157  4 O 1.48-1.49
S  0.3705  0.3283  0.0830  4 O 1.47-1.50
Si  0.0009  0.7095  0.7524  4 O 1.60-1.67
Si  0.6285  0.9607  0.4198  4 O 1.61-1.72
Si  0.0439  0.3735  0.9173  4 O 1.62-1.68
Si  0.6645  0.0353  0.0840  4 O 1.62-1.72
Si  0.9666  0.6334  0.0845  4 O 1.63-1.68
Si  0.7080  0.7044  0.2536  4 O 1.59-1.69
Si  0.6711  0.6235  0.5817  4 O 1.62-1.65
Si  0.7046  0.9990  0.7503  4 O 1.62-1.66
Si  0.3324  0.3711  0.4201  4 O 1.60-1.73
Si  0.2915  0.2812  0.7508  4 O 1.60-1.70
Si  0.0020  0.2943  0.2503  4 O 1.59-1.68
Si  0.3720  0.0405  0.5856  4 O 1.60-1.70
Si  0.2905  0.0004  0.2521  4 O 1.59-1.69
Si  0.9568  0.3348  0.5845  4 O 1.61-1.67
Si  0.6261  0.6656  0.9184  4 O 1.63-1.70

Values from the calculation:
E_form, kcal/mol of atoms: -67.628
V, A^3/atom: 13.7
Total magnetic moment, μB/f.u.: 0.00
Symmetry: No. 1

=====

Record 2
LaGaO3: relaxed, GGA-PBE.

Lattice parameters (Å, degrees): 5.5286 5.5286 5.5286 60.79 60.79 60.79
With the nearest neighbours (Å) after each atom.
Fractional coordinates of all 10 atoms:
O  0.3191  0.7500  0.1809  2 Ga 2.00
O  0.1809  0.3191  0.7500  2 Ga 2.00
O  0.8191  0.6809  0.2500  2 Ga 2.00
O  0.2500  0.8191  0.6809  2 Ga 2.00
O  0.7500  0.1809  0.3191  2 Ga 2.00
O  0.6809  0.2500  0.8191  2 Ga 2.00
La  0.7500  0.7500  0.7500  3 O 2.41
La  0.2500  0.2500  0.2500  3 O 2.41
Ga  0.5000  0.5000  0.5000  6 O 2.00
Ga  0.0000  0.0000  0.0000  6 O 2.00

Values from the calculation:
E_form, kcal/mol of atoms: -71.313
V, A^3/atom: 12.2
Total magnetic moment, μB/f.u.: 0.00
Symmetry: No. 167

=====

> Which value of total magnetic moment does entry 2 give?

0.00 μB/f.u.

=====

> total magnetic moment of number 1 (Na6Sc2Nb2Si5SO24)?

0.00 μB/f.u.